The following is a DFT calculation (meta-GGA r2SCAN) of an optimized crystal structure of UP2O7.

a b c (Å): 8.734 8.759 8.814
angles (deg): 89.51 89.83 89.61
Sites, in units of the cell vectors:
U 0.000 0.000 0.000
U 0.000 0.498 0.483
U 0.492 0.507 0.999
U 0.496 0.995 0.505
P 0.091 0.600 0.089
P 0.097 0.099 0.398
P 0.396 0.597 0.598
P 0.401 0.109 0.902
P 0.598 0.903 0.105
P 0.600 0.397 0.397
P 0.893 0.400 0.883
P 0.899 0.897 0.603
O 0.001 0.523 0.955
O 0.013 0.564 0.237
O 0.046 0.048 0.244
O 0.085 0.769 0.052
O 0.087 0.271 0.414
O 0.243 0.050 0.937
O 0.248 0.527 0.546
O 0.253 0.538 0.083
O 0.255 0.040 0.439
O 0.408 0.763 0.551
O 0.412 0.280 0.922
O 0.422 0.577 0.766
O 0.457 0.058 0.748
O 0.515 0.044 0.026
O 0.535 0.513 0.519
O 0.539 0.756 0.039
O 0.543 0.445 0.242
O 0.548 0.239 0.442
O 0.559 0.918 0.272
O 0.730 0.922 0.575
O 0.731 0.445 0.922
O 0.767 0.926 0.074
O 0.772 0.415 0.411
O 0.927 0.414 0.715
O 0.935 0.244 0.946
O 0.940 0.915 0.769
O 0.957 0.748 0.538
O 0.980 0.036 0.520

Crystal system = triclinic

=====

The following is a DFT calculation (meta-GGA r2SCAN) of an optimized crystal structure of U.

a b c (Å): 3.236 3.236 4.850
angles (deg): 90.00 90.00 129.31
Sites, in units of the cell vectors:
U 0.096 0.904 0.750
U 0.904 0.096 0.250

Crystal system = orthorhombic
E above lowest polymorph = 0.000 eV/atom

=====

The following is a DFT calculation (meta-GGA r2SCAN) of an optimized crystal structure of La5Si3.

a b c (Å): 9.012 9.012 9.012
angles (deg): 127.05 127.05 78.16
Sites, in units of the cell vectors:
La 0.000 0.000 0.000
La 0.031 0.531 0.857
La 0.174 0.031 0.500
La 0.326 0.826 0.857
La 0.469 0.326 0.500
La 0.500 0.500 0.000
La 0.531 0.674 0.500
La 0.674 0.174 0.143
La 0.826 0.969 0.500
La 0.969 0.469 0.143
Si 0.112 0.388 0.500
Si 0.250 0.250 0.000
Si 0.388 0.888 0.275
Si 0.612 0.112 0.725
Si 0.750 0.750 0.000
Si 0.888 0.612 0.500

Crystal system = tetragonal

=====

The following is a DFT calculation (meta-GGA r2SCAN) of an optimized crystal structure of ErUTe4.

a b c (Å): 8.035 8.035 6.112
angles (deg): 112.18 112.18 30.63
Sites, in units of the cell vectors:
Er 0.000 0.000 0.000
U 0.278 0.278 0.280
Te 0.350 0.350 0.851
Te 0.641 0.641 0.894
Te 0.643 0.643 0.392
Te 0.936 0.936 0.436

Crystal system = monoclinic

=====

no.,ΔH_f (0 K) (eV per atom)
1,-2.83
2,0.00
3,-0.68
4,-1.22